1.
Computed, not measured: a geometry-optimized BaSb2Pd2 structure at the PBE-GGA level of DFT.

The structure in POSCAR format:
```
BaSb2Pd2
1.0
-2.388 2.388 5.615
2.388 -2.388 5.615
2.388 2.388 -5.615
Ba Sb Pd
1 2 2
Cartesian
0.000 0.000 0.000
0.000 0.000 4.088
0.000 0.000 7.143
2.388 0.000 2.808
0.000 2.388 2.808
```

---

2.
Computed, not measured: a geometry-optimized Na7NbAl3Si3P3O24 structure at the PBE-GGA level of DFT.

The structure in POSCAR format:
```
Na7NbAl3Si3P3O24
1.0
8.784 0.000 0.000
4.367 7.632 0.000
0.010 0.038 21.708
Na Nb Al Si P O
21 3 9 9 9 72
Cartesian
0.000 0.000 0.000
1.598 2.804 16.329
0.418 0.228 14.518
2.787 0.191 3.712
4.434 3.059 14.515
4.320 2.572 7.365
3.244 0.535 18.064
5.995 5.335 12.691
5.984 5.270 1.894
4.829 2.795 21.697
7.634 7.625 10.861
8.722 5.611 0.039
7.139 2.811 10.921
8.728 5.147 14.511
5.992 0.295 19.921
6.036 0.265 9.196
9.146 5.318 7.385
7.606 2.539 18.056
11.541 5.377 18.031
10.310 2.774 5.560
11.976 5.602 10.888
6.001 0.204 5.960
10.316 2.809 2.279
10.397 2.852 13.130
1.603 2.778 19.549
1.607 2.743 8.672
5.983 5.346 15.829
6.019 5.373 20.337
6.021 5.337 9.504
6.023 5.338 5.039
5.949 0.280 1.406
5.954 0.257 12.296
5.998 0.264 16.633
2.909 0.571 21.655
4.219 2.803 10.773
7.070 7.559 7.275
3.499 0.214 14.541
7.195 2.442 14.531
9.039 5.661 3.585
7.771 2.810 21.623
9.089 5.059 10.758
11.663 5.780 14.527
0.323 0.575 10.808
2.879 5.047 21.650
4.719 7.550 18.128
3.549 5.314 7.265
4.721 3.178 18.136
4.787 2.525 3.622
7.280 3.201 7.273
8.528 5.356 18.125
8.506 0.166 3.585
2.565 4.118 7.339
1.005 1.344 18.234
0.989 1.186 12.107
2.660 4.075 1.186
4.964 6.659 19.377
4.361 5.546 8.544
5.002 6.583 3.733
4.480 5.534 14.693
2.186 1.465 7.388
3.157 3.042 18.250
5.372 6.898 16.891
5.343 6.820 10.694
4.409 5.171 21.530
2.176 1.227 1.284
3.252 3.077 12.126
4.422 5.095 6.037
2.517 1.552 14.401
3.220 2.561 3.519
2.684 1.589 20.409
3.216 2.509 9.540
4.954 4.059 16.890
6.581 6.868 5.902
5.085 4.177 10.690
6.553 6.745 21.535
5.370 3.901 3.819
6.883 6.556 14.710
5.361 3.846 19.381
7.004 6.575 8.557
4.385 0.577 15.860
4.988 1.588 4.868
7.444 5.535 3.765
4.514 0.396 0.143
5.139 1.479 10.979
5.368 1.844 2.362
6.581 3.947 14.694
5.362 1.760 18.056
4.438 0.105 7.139
8.738 7.577 13.203
6.574 3.756 8.530
7.639 5.595 19.374
6.843 4.140 21.534
7.467 5.176 10.723
7.013 4.065 6.046
7.640 5.097 16.891
6.543 1.796 13.195
9.346 6.627 2.320
6.623 1.771 7.123
9.426 6.631 18.034
6.892 1.425 0.184
9.738 6.369 4.925
9.813 6.500 10.968
7.057 1.510 15.861
9.314 4.082 12.114
8.769 3.101 1.222
8.805 3.047 7.408
9.449 4.090 18.259
10.911 6.353 15.851
7.582 0.452 10.966
8.773 2.528 20.384
11.012 6.394 0.140
8.848 2.609 14.408
9.812 4.300 9.522
7.630 0.453 4.832
9.798 4.200 3.551
7.585 0.074 18.045
7.636 0.045 2.329
11.384 6.596 7.163
11.435 6.661 13.190
10.967 4.394 20.436
9.350 1.536 9.640
10.983 4.251 14.415
9.440 1.445 3.519
```

---

3.
Computed, not measured: a geometry-optimized Ho4Ge9Ir13 structure at the PBE-GGA level of DFT.

The structure in POSCAR format:
```
Ho4Ge9Ir13
1.0
4.001 0.000 0.000
0.000 11.317 0.000
0.000 0.000 19.515
Ho Ge Ir
8 18 26
Cartesian
1.000 0.665 4.051
1.000 2.829 0.442
1.000 4.994 4.051
1.000 8.488 10.129
3.001 2.829 9.385
3.001 6.323 15.464
3.001 8.488 19.072
3.001 10.652 15.464
1.000 0.797 8.106
1.000 1.355 14.268
1.000 2.829 11.731
1.000 4.303 14.268
1.000 4.861 8.106
1.000 6.380 17.929
1.000 8.488 1.947
1.000 8.488 14.337
1.000 10.595 17.929
3.001 0.721 1.586
3.001 2.829 5.178
3.001 2.829 17.567
3.001 4.937 1.586
3.001 6.456 11.409
3.001 7.013 5.246
3.001 8.488 7.783
3.001 9.962 5.246
3.001 10.519 11.409
1.000 0.675 10.534
1.000 1.427 16.742
1.000 2.829 6.682
1.000 4.231 16.742
1.000 4.984 10.534
1.000 6.220 0.899
1.000 6.417 12.971
1.000 7.047 6.917
1.000 8.488 4.431
1.000 8.488 16.763
1.000 9.928 6.917
1.000 10.558 12.971
1.000 10.755 0.899
3.001 0.562 18.616
3.001 0.759 6.544
3.001 1.388 12.597
3.001 2.829 2.752
3.001 2.829 15.084
3.001 4.270 12.597
3.001 4.899 6.544
3.001 5.097 18.616
3.001 6.333 8.980
3.001 7.085 2.772
3.001 8.488 12.833
3.001 9.890 2.772
3.001 10.642 8.980
```

---

4.
Computed, not measured: a geometry-optimized TbCeO4 structure at the PBE-GGA level of DFT.

The structure in POSCAR format:
```
TbCeO4
1.0
10.948 0.000 0.000
0.000 10.948 0.000
0.000 0.000 10.948
Tb Ce O
16 16 64
Cartesian
1.358 1.402 6.851
1.376 4.116 9.547
1.387 9.562 4.088
1.402 6.851 1.358
4.072 4.098 6.833
4.088 1.387 9.562
4.098 6.833 4.072
4.116 9.547 1.376
6.833 4.072 4.098
6.851 1.358 1.402
6.861 6.861 6.861
6.876 9.572 9.590
9.547 1.376 4.116
9.562 4.088 1.387
9.572 9.590 6.876
9.590 6.876 9.572
1.368 1.368 1.368
1.364 4.100 4.098
1.375 6.851 6.838
1.377 9.584 9.574
4.098 1.364 4.100
4.100 4.098 1.364
4.110 6.849 9.572
4.106 9.580 6.843
6.838 1.375 6.851
6.843 4.106 9.580
6.851 6.838 1.375
6.849 9.572 4.110
9.574 1.377 9.584
9.572 4.110 6.849
9.580 6.843 4.106
9.584 9.574 1.377
10.944 0.005 5.479
10.945 5.464 2.762
0.005 5.479 10.944
0.003 10.938 2.712
0.009 0.009 0.009
0.006 5.509 8.167
0.010 8.187 5.471
0.030 2.722 2.745
0.034 8.255 10.942
0.057 8.244 8.209
2.693 5.468 5.440
2.705 2.735 5.417
2.712 0.003 10.938
2.724 2.724 2.724
2.722 2.745 0.030
2.728 2.746 8.202
2.729 10.919 8.196
2.735 5.417 2.705
2.740 5.531 8.179
2.745 0.030 2.722
2.746 8.202 2.728
2.752 8.203 5.504
2.751 8.225 8.198
2.762 10.945 5.464
2.770 8.214 10.891
2.781 5.480 10.914
5.417 2.705 2.735
5.440 2.693 5.468
5.445 8.226 8.220
5.464 2.762 10.945
5.468 5.440 2.693
5.465 10.940 5.483
5.479 10.944 0.005
5.471 0.010 8.187
5.470 5.470 5.470
5.477 5.484 8.236
5.483 5.465 10.940
5.484 8.236 5.477
5.480 10.914 2.781
5.504 2.752 8.203
5.509 8.167 0.006
5.531 8.179 2.740
8.167 0.006 5.509
8.179 2.740 5.531
8.187 5.471 0.010
8.202 2.728 2.746
8.196 2.729 10.919
8.198 2.751 8.225
8.203 5.504 2.752
8.209 0.057 8.244
8.214 10.891 2.770
8.220 5.445 8.226
8.225 8.198 2.751
8.226 8.220 5.445
8.221 8.221 8.221
8.236 5.477 5.484
8.244 8.209 0.057
8.255 10.942 0.034
10.891 2.770 8.214
10.914 2.781 5.480
10.919 8.196 2.729
10.942 0.034 8.255
10.938 2.712 0.003
10.940 5.483 5.465
```

---

5.
Computed, not measured: a geometry-optimized Sm2HfCo16 structure at the PBE-GGA level of DFT.

The structure in POSCAR format:
```
Sm2HfCo16
1.0
8.407 0.000 0.000
-4.204 7.281 0.000
0.000 0.000 8.212
Sm Hf Co
4 2 32
Cartesian
0.000 0.000 2.050
0.000 0.000 6.162
0.000 4.854 1.934
4.204 2.427 6.278
0.000 4.854 5.039
4.204 2.427 3.173
-2.102 3.640 0.000
-2.102 3.640 4.106
-1.216 2.691 6.172
-2.482 4.882 6.172
0.000 2.372 3.942
-2.150 6.095 3.942
0.000 2.428 0.123
-2.101 6.067 0.123
2.054 1.186 4.270
1.216 2.691 6.172
-1.265 6.989 6.172
0.000 4.854 7.437
2.103 1.214 8.089
2.939 0.292 2.040
1.722 2.399 2.040
4.204 0.000 0.000
4.204 0.000 4.106
2.102 3.640 0.000
2.102 3.640 4.106
2.482 4.882 6.172
1.265 6.989 6.172
2.101 6.067 0.123
4.204 2.427 0.775
5.469 0.292 2.040
2.987 4.590 2.040
2.150 6.095 3.942
6.304 1.214 8.089
4.204 4.853 8.089
6.354 1.186 4.270
4.204 4.909 4.270
6.685 2.399 2.040
5.420 4.590 2.040
```

---

6.
Computed, not measured: a geometry-optimized Sr2AlCu2SbO7 structure at the PBE-GGA level of DFT.

The structure in POSCAR format:
```
Sr2AlCu2SbO7
1.0
5.313 0.000 0.000
0.000 5.342 0.000
-2.653 -2.667 12.116
Sr Al Cu Sb O
4 2 4 2 14
Cartesian
0.000 0.000 0.000
-0.004 -0.006 5.250
0.002 -0.043 12.115
2.656 2.619 5.249
0.032 -0.046 8.682
2.710 2.633 8.682
0.036 2.628 7.313
0.044 2.641 10.055
2.688 -0.041 7.315
2.690 -0.029 10.045
0.053 2.627 2.625
2.709 -0.009 2.625
0.063 2.598 0.477
-1.677 -1.753 9.941
-0.906 -0.990 7.422
0.065 2.595 4.774
-0.904 0.917 9.929
2.002 1.934 2.624
0.967 0.898 7.424
2.718 0.018 0.475
0.973 -0.968 9.954
1.752 3.573 7.435
2.716 0.016 4.774
1.763 1.699 9.942
4.656 0.684 2.625
3.628 1.687 7.411
```

---

Number 1: formation energy -786 meV/atom. Number 2: formation energy -2891 meV/atom. Number 3: formation energy -663 meV/atom. Number 4: formation energy -3542 meV/atom. Number 5: formation energy -103 meV/atom. Number 6: formation energy -2224 meV/atom.